Record 1
{"formula": "Sm7Ti4Se12O6", "functional": "PBE-GGA", "state": "optimized geometry", "e_form_ev_per_atom": -2.3120, "vol_a3_per_cell": 604.4, "e_tot_ev_per_atom": -6.87, "cell": [[1.910, 14.130, 0.000], [-1.910, 14.130, 0.000], [0.000, 0.082, 11.199]], "species": ["Sm", "Sm", "Sm", "Sm", "Sm", "Sm", "Sm", "Ti", "Ti", "Ti", "Ti", "Se", "Se", "Se", "Se", "Se", "Se", "Se", "Se", "Se", "Se", "Se", "Se", "O", "O", "O", "O", "O", "O"], "frac_coords": [[0.058, 0.058, 0.731], [0.947, 0.947, 0.270], [0.568, 0.568, 0.229], [0.438, 0.438, 0.767], [0.196, 0.196, 0.576], [0.799, 0.799, 0.423], [0.325, 0.325, 0.046], [0.209, 0.209, 0.265], [0.786, 0.786, 0.731], [0.501, 0.501, 0.500], [0.001, 0.001, 0.999], [0.437, 0.437, 0.049], [0.561, 0.561, 0.952], [0.339, 0.339, 0.622], [0.662, 0.662, 0.381], [0.064, 0.064, 0.458], [0.936, 0.936, 0.541], [0.757, 0.757, 0.155], [0.246, 0.246, 0.846], [0.140, 0.140, 0.134], [0.860, 0.860, 0.873], [0.363, 0.363, 0.289], [0.637, 0.637, 0.707], [0.486, 0.486, 0.333], [0.514, 0.514, 0.668], [0.020, 0.020, 0.163], [0.978, 0.978, 0.834], [0.251, 0.251, 0.403], [0.748, 0.748, 0.597]]}


Record 2
{"formula": "SrMg14NbO16", "functional": "PBE-GGA", "state": "optimized geometry", "polymorph_energy_ev_per_atom": 0.000, "e_form_ev_per_atom": -2.8251, "vol_a3_per_cell": 336.9, "e_tot_ev_per_atom": -6.02, "cell": [[8.720, 0.000, 0.000], [0.000, 8.720, 0.000], [0.000, 0.000, 4.431]], "species": ["Sr", "Mg", "Mg", "Mg", "Mg", "Mg", "Mg", "Mg", "Mg", "Mg", "Mg", "Mg", "Mg", "Mg", "Mg", "Nb", "O", "O", "O", "O", "O", "O", "O", "O", "O", "O", "O", "O", "O", "O", "O", "O"], "frac_coords": [[0.000, 0.000, 0.000], [0.000, 0.500, 0.000], [0.500, 0.000, 0.000], [0.000, 0.259, 0.500], [0.000, 0.741, 0.500], [0.500, 0.246, 0.500], [0.500, 0.754, 0.500], [0.259, 0.000, 0.500], [0.246, 0.500, 0.500], [0.741, 0.000, 0.500], [0.754, 0.500, 0.500], [0.253, 0.253, 0.000], [0.253, 0.747, 0.000], [0.747, 0.253, 0.000], [0.747, 0.747, 0.000], [0.500, 0.500, 0.000], [0.271, 0.000, 0.000], [0.242, 0.500, 0.000], [0.729, 0.000, 0.000], [0.758, 0.500, 0.000], [0.250, 0.250, 0.500], [0.250, 0.750, 0.500], [0.750, 0.250, 0.500], [0.750, 0.750, 0.500], [0.000, 0.000, 0.500], [0.000, 0.500, 0.500], [0.500, 0.000, 0.500], [0.500, 0.500, 0.500], [0.000, 0.271, 0.000], [0.000, 0.729, 0.000], [0.500, 0.242, 0.000], [0.500, 0.758, 0.000]]}